Record 1
Entry from the Materials Project: an optimized crystal structure of CaHg11 (PBE-GGA).

a b c (Å): 9.9999 9.9999 9.9999
angles (deg): 90.00 90.00 90.00
Last column: nearest neighbours and their distance in Å.
Fractional positions:
Hg 0.1526 0.1526 0.8474  6 Hg 3.05-3.09
Hg 0.5000 0.7367 0.2633  9 Hg 3.17-3.35
Hg 0.7367 0.7367 0.5000  9 Hg 3.17-3.35
Hg 0.8474 0.8474 0.1526  6 Hg 3.05-3.09
Hg 0.7367 0.5000 0.2633  9 Hg 3.17-3.35
Hg 0.6570 0.6570 0.0000  8 Hg 3.09-3.17
Hg 0.0000 0.6570 0.6570  8 Hg 3.09-3.17
Ca 0.5000 0.0000 0.0000  20 Hg 3.72-4.09
Hg 0.8474 0.8474 0.8474  6 Hg 3.05-3.09
Hg 0.5000 0.5000 0.5000  12 Hg 3.35
Hg 0.8474 0.1526 0.1526  6 Hg 3.05-3.09
Hg 0.7367 0.2633 0.5000  9 Hg 3.17-3.35
Ca 0.0000 0.5000 0.0000  20 Hg 3.72-4.09
Hg 0.3430 0.3430 0.0000  8 Hg 3.09-3.17
Hg 0.2633 0.5000 0.2633  9 Hg 3.17-3.35
Hg 0.6570 0.0000 0.6570  8 Hg 3.09-3.17
Hg 0.3430 0.6570 0.0000  8 Hg 3.09-3.17
Hg 0.0000 0.6570 0.3430  8 Hg 3.09-3.17
Hg 0.6570 0.3430 0.0000  8 Hg 3.09-3.17
Hg 0.5000 0.2633 0.7367  9 Hg 3.17-3.35
Hg 0.3430 0.0000 0.6570  8 Hg 3.09-3.17
Hg 0.2633 0.7367 0.5000  9 Hg 3.17-3.35
Hg 0.1526 0.8474 0.8474  6 Hg 3.05-3.09
Hg 0.1526 0.1526 0.1526  6 Hg 3.05-3.09
Hg 0.0000 0.3430 0.6570  8 Hg 3.09-3.17
Hg 0.2633 0.5000 0.7367  9 Hg 3.17-3.35
Ca 0.0000 0.0000 0.5000  20 Hg 3.72-4.09
Hg 0.6570 0.0000 0.3430  8 Hg 3.09-3.17
Hg 0.2633 0.2633 0.5000  9 Hg 3.17-3.35
Hg 0.0000 0.3430 0.3430  8 Hg 3.09-3.17
Hg 0.8474 0.1526 0.8474  6 Hg 3.05-3.09
Hg 0.5000 0.2633 0.2633  9 Hg 3.17-3.35
Hg 0.3430 0.0000 0.3430  8 Hg 3.09-3.17
Hg 0.5000 0.7367 0.7367  9 Hg 3.17-3.35
Hg 0.7367 0.5000 0.7367  9 Hg 3.17-3.35
Hg 0.1526 0.8474 0.1526  6 Hg 3.05-3.09

Properties
- Total magnetization: 0.0 μB per formula unit
- VASP energy: -0.49 eV/atom

---

Record 2
Entry from the Materials Project: an optimized crystal structure of CaHg2 (PBE-GGA).

a b c (Å): 5.4058 5.4058 3.5899
angles (deg): 90.00 90.00 120.00
Last column: nearest neighbours and their distance in Å.
Fractional positions:
Hg 0.6667 0.3333 0.9468  3 Ca 3.13, 3 Hg 3.14
Ca 0.0000 0.0000 0.0000  6 Hg 3.13
Hg 0.3333 0.6667 0.0532  3 Ca 3.13, 3 Hg 3.14

Properties
- Total magnetization: 0.0 μB per formula unit
- VASP energy: -1.04 eV/atom

---

Record 3
Entry from the Materials Project: an optimized crystal structure of CaHg3 (PBE-GGA).

a b c (Å): 6.7568 6.7568 5.2109
angles (deg): 90.00 90.00 120.00
Last column: nearest neighbours and their distance in Å.
Fractional positions:
Hg 0.6731 0.8366 0.2500  8 Hg 3.23-3.44, 4 Ca 3.28-3.38
Ca 0.3333 0.6667 0.7500  12 Hg 3.28-3.38
Hg 0.3269 0.1634 0.7500  8 Hg 3.23-3.44, 4 Ca 3.28-3.38
Hg 0.8366 0.6731 0.7500  8 Hg 3.23-3.44, 4 Ca 3.28-3.38
Hg 0.1634 0.3269 0.2500  8 Hg 3.23-3.44, 4 Ca 3.28-3.38
Ca 0.6667 0.3333 0.2500  12 Hg 3.28-3.38
Hg 0.8366 0.1634 0.7500  8 Hg 3.23-3.44, 4 Ca 3.28-3.38
Hg 0.1634 0.8366 0.2500  8 Hg 3.23-3.44, 4 Ca 3.28-3.38

Properties
- VASP energy: -1.13 eV/atom

---

Record 4
Entry from the Materials Project: an optimized crystal structure of Ca5Hg3 (PBE-GGA).

a b c (Å): 9.4331 9.4331 9.4331
angles (deg): 128.15 128.15 76.38
Last column: nearest neighbours and their distance in Å.
Fractional positions:
Hg 0.3654 0.8654 0.2307  1 Hg 3.14, 8 Ca 3.21-3.31
Ca 0.1880 0.0168 0.5000  5 Hg 3.21-3.44
Ca 0.3120 0.8120 0.8289  5 Hg 3.21-3.44
Hg 0.8654 0.6346 0.5000  1 Hg 3.14, 8 Ca 3.21-3.31
Ca 0.4832 0.3120 0.5000  5 Hg 3.21-3.44
Ca 0.5168 0.6880 0.5000  5 Hg 3.21-3.44
Ca 0.9832 0.4832 0.1711  5 Hg 3.21-3.44
Ca 0.5000 0.5000 0.0000  4 Hg 3.21
Ca 0.0000 0.0000 0.0000  4 Hg 3.21
Hg 0.7500 0.7500 0.0000  10 Ca 3.44-3.71
Ca 0.8120 0.9832 0.5000  5 Hg 3.21-3.44
Ca 0.0168 0.5168 0.8289  5 Hg 3.21-3.44
Ca 0.6880 0.1880 0.1711  5 Hg 3.21-3.44
Hg 0.6346 0.1346 0.7693  1 Hg 3.14, 8 Ca 3.21-3.31
Hg 0.1346 0.3654 0.5000  1 Hg 3.14, 8 Ca 3.21-3.31
Hg 0.2500 0.2500 0.0000  10 Ca 3.44-3.71

Properties
- VASP energy: -1.80 eV/atom

---

Record 5
Entry from the Materials Project: an optimized crystal structure of Ca14Hg51 (PBE-GGA).

a b c (Å): 13.7688 13.7688 10.2599
angles (deg): 90.00 90.00 120.00
Last column: nearest neighbours and their distance in Å.
Fractional positions:
Ca 0.6085 0.5522 0.0000  13 Hg 3.32-3.57
Hg 0.1430 0.4024 0.7766  7 Hg 3.00-3.34
Hg 0.2191 0.0444 0.8537  7 Hg 3.00-3.33
Hg 0.2753 0.4322 0.5000  6 Hg 2.92-3.25
Hg 0.5241 0.9366 0.7722  7 Hg 2.99-3.33, 1 Ca 3.32
Hg 0.8399 0.5528 0.8543  7 Hg 2.99-3.35
Hg 0.8253 0.7809 0.1463  7 Hg 3.00-3.33
Hg 0.0000 0.0000 0.0000  8 Hg 3.14-3.28, 3 Ca 3.42
Ca 0.9436 0.3915 0.0000  13 Hg 3.32-3.57
Ca 0.2181 0.2706 0.0000  12 Hg 3.19-3.54
Hg 0.5976 0.7407 0.2234  7 Hg 3.00-3.34
Hg 0.3144 0.5346 0.0000  6 Hg 2.95-3.14, 1 Ca 3.19
Hg 0.6667 0.3333 0.0000  8 Hg 3.14-3.25, 3 Ca 3.48
Hg 0.1569 0.7247 0.5000  6 Hg 2.92-3.25
Hg 0.9960 0.7738 0.3374  7 Hg 3.09-3.42, 3 Ca 3.35-3.40
Hg 0.8253 0.7809 0.8537  7 Hg 3.00-3.33
Hg 0.2593 0.8570 0.2234  7 Hg 3.00-3.34
Hg 0.5241 0.9366 0.2278  7 Hg 2.99-3.33, 1 Ca 3.32
Ca 0.3333 0.6667 0.6921  15 Hg 3.37-3.59
Ca 0.6633 0.1373 0.5000  10 Hg 3.27-3.58
Hg 0.5121 0.6088 0.5000  8 Hg 2.92-3.26
Ca 0.4740 0.3367 0.5000  10 Hg 3.27-3.58
Hg 0.4472 0.2872 0.8543  7 Hg 2.99-3.35
Hg 0.7128 0.1601 0.1457  7 Hg 2.99-3.35
Hg 0.7778 0.0040 0.6626  7 Hg 3.09-3.42, 3 Ca 3.35-3.40
Ca 0.1936 0.9954 0.5000  10 Hg 3.27-3.53
Ca 0.3333 0.6667 0.3079  15 Hg 3.37-3.59
Ca 0.8018 0.8064 0.5000  10 Hg 3.27-3.53
Hg 0.2191 0.0444 0.1463  7 Hg 3.00-3.33
Hg 0.5678 0.8431 0.5000  6 Hg 2.92-3.25
Hg 0.4391 0.1124 0.6623  7 Hg 3.07-3.37, 3 Ca 3.33-3.37
Hg 0.1430 0.4024 0.2234  7 Hg 3.00-3.34
Hg 0.8876 0.3267 0.3377  7 Hg 3.07-3.37, 3 Ca 3.33-3.37
Hg 0.2262 0.2222 0.6626  7 Hg 3.09-3.42, 3 Ca 3.35-3.40
Hg 0.4472 0.2872 0.1457  7 Hg 2.99-3.35
Ca 0.7294 0.9475 0.0000  12 Hg 3.19-3.54
Hg 0.6667 0.3333 0.3167  7 Hg 3.10-3.27, 3 Ca 3.27
Hg 0.2593 0.8570 0.7766  7 Hg 3.00-3.34
Hg 0.0000 0.0000 0.3197  7 Hg 3.09-3.29, 3 Ca 3.27
Hg 0.2202 0.6856 0.0000  6 Hg 2.95-3.14, 1 Ca 3.19
Hg 0.0634 0.5875 0.2278  7 Hg 2.99-3.33, 1 Ca 3.32
Ca 0.0046 0.1982 0.5000  10 Hg 3.27-3.53
Hg 0.6667 0.3333 0.6833  7 Hg 3.10-3.27, 3 Ca 3.27
Hg 0.0000 0.0000 0.6803  7 Hg 3.09-3.29, 3 Ca 3.27
Hg 0.0634 0.5875 0.7722  7 Hg 2.99-3.33, 1 Ca 3.32
Hg 0.5976 0.7407 0.7766  7 Hg 3.00-3.34
Hg 0.6733 0.5609 0.3377  7 Hg 3.07-3.37, 3 Ca 3.33-3.37
Hg 0.0967 0.4879 0.5000  8 Hg 2.92-3.26
Hg 0.4391 0.1124 0.3377  7 Hg 3.07-3.37, 3 Ca 3.33-3.37
Hg 0.2262 0.2222 0.3374  7 Hg 3.09-3.42, 3 Ca 3.35-3.40
Hg 0.9960 0.7738 0.6626  7 Hg 3.09-3.42, 3 Ca 3.35-3.40
Hg 0.4654 0.7798 0.0000  6 Hg 2.95-3.14, 1 Ca 3.19
Hg 0.9556 0.1747 0.8537  7 Hg 3.00-3.33
Ca 0.4478 0.0564 0.0000  13 Hg 3.32-3.57
Hg 0.6733 0.5609 0.6623  7 Hg 3.07-3.37, 3 Ca 3.33-3.37
Ca 0.0525 0.7819 0.0000  12 Hg 3.19-3.54
Hg 0.8876 0.3267 0.6623  7 Hg 3.07-3.37, 3 Ca 3.33-3.37
Hg 0.9556 0.1747 0.1463  7 Hg 3.00-3.33
Ca 0.8627 0.5260 0.5000  10 Hg 3.27-3.58
Hg 0.7778 0.0040 0.3374  7 Hg 3.09-3.42, 3 Ca 3.35-3.40
Hg 0.7128 0.1601 0.8543  7 Hg 2.99-3.35
Hg 0.3912 0.9033 0.5000  8 Hg 2.92-3.26
Hg 0.4125 0.4759 0.2278  7 Hg 2.99-3.33, 1 Ca 3.32
Hg 0.8399 0.5528 0.1457  7 Hg 2.99-3.35
Hg 0.4125 0.4759 0.7722  7 Hg 2.99-3.33, 1 Ca 3.32

Properties
- Total magnetization: 0.0 μB per formula unit
- VASP energy: -0.97 eV/atom

---

Record 6
Entry from the Materials Project: an optimized crystal structure of CaHg2 (PBE-GGA).

a b c (Å): 5.0173 5.0173 3.6189
angles (deg): 90.00 90.00 120.00
Last column: nearest neighbours and their distance in Å.
Fractional positions:
Hg 0.6667 0.3333 0.5000  3 Hg 2.90
Hg 0.3333 0.6667 0.5000  3 Hg 2.90
Ca 0.0000 0.0000 0.0000  12 Hg 3.42, 2 Ca 3.62

Properties
- VASP energy: -1.32 eV/atom

---

The evaluated ΔE_f for the records listed, in turn: -0.044; -0.169; -0.398; -0.435; -0.301; -0.447 eV/atom.